Record 1
The following is a PBE calculation of a relaxed structure of FeB18H32C8S2, from the Materials Project.

Lattice parameters (Å, degrees): 8.2393 10.6994 13.4208 90.00 90.00 90.00
With the nearest neighbours (Å) after each atom.
Positions (direct):
S: 0.3784 0.0237 0.2150  2 C 1.81, 1 B 1.94
B: 0.9640 0.5778 0.6274  1 H 1.20
H: 0.8269 0.2585 0.8526  1 B 1.20
H: 0.6890 0.1202 0.5416  1 B 1.19
B: 0.8698 0.8393 0.6190  1 H 1.20
H: 0.1349 0.8108 0.8738  1 C 1.09
H: 0.2385 0.0184 0.6330  1 C 1.09
C: 0.5862 0.0179 0.8119  3 H 1.09-1.10
B: 0.1302 0.3393 0.8810  1 H 1.20
B: 0.6918 0.7460 0.6261  1 H 1.20
H: 0.0535 0.4922 0.3302  1 B 1.20
C: 0.0130 0.3564 0.4831  1 H 1.09
H: 0.4304 0.7185 0.1655  1 B 1.20
B: 0.6813 0.6477 0.5169  1 H 1.20
B: 0.9702 0.1989 0.4924  1 H 1.19
S: 0.6216 0.5237 0.2850  2 C 1.81, 1 B 1.94
B: 0.6813 0.3523 0.4831  1 H 1.20
B: 0.3187 0.8523 0.0169  1 H 1.20
B: 0.9617 0.7646 0.1199  1 H 1.20
C: 0.9870 0.1436 0.9831  1 H 1.09
H: 0.8651 0.3108 0.6262  1 C 1.09
H: 0.0535 0.5078 0.6698  1 B 1.20
H: 0.0522 0.8632 0.4541  1 B 1.19
H: 0.1349 0.1892 0.1262  1 C 1.09
B: 0.9702 0.8011 0.5076  1 H 1.19
H: 0.1731 0.2415 0.3526  1 B 1.20
H: 0.6055 0.1168 0.7941  1 C 1.10
B: 0.3082 0.2460 0.8739  1 H 1.20
B: 0.0383 0.7354 0.6199  1 H 1.20
H: 0.3960 0.1316 0.6555  1 C 1.10
B: 0.7568 0.1945 0.4902  1 H 1.19
B: 0.9617 0.2354 0.8801  1 H 1.20
H: 0.6658 0.0421 0.2328  1 C 1.10
H: 0.6055 0.8832 0.2059  1 C 1.10
H: 0.6065 0.0016 0.8914  1 C 1.09
S: 0.3784 0.9763 0.7850  2 C 1.81, 1 B 1.94
H: 0.9478 0.6368 0.9541  1 B 1.19
H: 0.1231 0.3776 0.5244  1 C 1.09
H: 0.3960 0.8684 0.3445  1 C 1.10
H: 0.9465 0.0078 0.8302  1 B 1.20
H: 0.6658 0.9579 0.7672  1 C 1.10
H: 0.3110 0.6202 0.9584  1 B 1.19
H: 0.3935 0.4984 0.3914  1 C 1.09
H: 0.7615 0.4816 0.1330  1 C 1.09
H: 0.6040 0.3684 0.1555  1 C 1.10
H: 0.4472 0.0237 0.3872  1 C 1.10
H: 0.1731 0.7585 0.6474  1 B 1.20
H: 0.6040 0.6316 0.8445  1 C 1.10
B: 0.0298 0.6989 0.0076  1 H 1.19
H: 0.2385 0.9816 0.3670  1 C 1.09
H: 0.8783 0.9433 0.6513  1 B 1.20
C: 0.6364 0.5323 0.8418  3 H 1.09-1.10
H: 0.4472 0.9763 0.6128  1 C 1.10
B: 0.3082 0.7540 0.1261  1 H 1.20
H: 0.5528 0.5237 0.1128  1 C 1.10
H: 0.3342 0.5421 0.2672  1 C 1.10
C: 0.5862 0.9821 0.1881  3 H 1.09-1.10
B: 0.3187 0.1477 0.9831  1 H 1.20
B: 0.1320 0.7968 0.1947  1 H 1.20
C: 0.9870 0.8564 0.0169  1 H 1.09
H: 0.1217 0.5567 0.1513  1 B 1.20
H: 0.8769 0.8776 0.9756  1 C 1.09
B: 0.0298 0.3011 0.9924  1 H 1.19
H: 0.8772 0.7112 0.7834  1 B 1.20
H: 0.3935 0.5016 0.6086  1 C 1.09
H: 0.1217 0.4433 0.8487  1 B 1.20
B: 0.2498 0.0861 0.8681  4 B 1.76-1.79, 1 S 1.94
H: 0.0522 0.1368 0.5459  1 B 1.19
B: 0.2432 0.6945 0.0098  1 H 1.19
H: 0.8651 0.6892 0.3738  1 C 1.09
C: 0.6364 0.4677 0.1582  3 H 1.09-1.10
B: 0.0360 0.0778 0.8726  1 H 1.20
H: 0.9465 0.9922 0.1698  1 B 1.20
H: 0.1231 0.6224 0.4756  1 C 1.09
B: 0.9640 0.4222 0.3726  1 H 1.20
B: 0.8698 0.1607 0.3810  1 H 1.20
B: 0.1320 0.2032 0.8053  1 H 1.20
B: 0.7502 0.4139 0.3681  4 B 1.76-1.79, 1 S 1.94
H: 0.5528 0.4763 0.8872  1 C 1.10
H: 0.8772 0.2888 0.2166  1 B 1.20
H: 0.4478 0.8615 0.9766  1 B 1.20
C: 0.1454 0.1831 0.0456  1 H 1.09
H: 0.5696 0.2185 0.3345  1 B 1.20
H: 0.6065 0.9984 0.1086  1 C 1.09
C: 0.8546 0.6831 0.4544  1 H 1.09
H: 0.4304 0.2815 0.8345  1 B 1.20
C: 0.1454 0.8169 0.9544  1 H 1.09
H: 0.5522 0.6385 0.4766  1 B 1.20
H: 0.8783 0.0567 0.3487  1 B 1.20
H: 0.6890 0.8798 0.4584  1 B 1.19
H: 0.3945 0.6168 0.7059  1 C 1.10
B: 0.8680 0.2968 0.3053  1 H 1.20
B: 0.2498 0.9139 0.1319  4 B 1.76-1.79, 1 S 1.94
H: 0.3110 0.3798 0.0416  1 B 1.19
H: 0.4478 0.1385 0.0234  1 B 1.20
B: 0.7568 0.8055 0.5098  1 H 1.19
Fe: 0.8490 0.5000 0.5000  4 C 2.05-2.06, 6 B 2.11-2.16
H: 0.8769 0.1224 0.0244  1 C 1.09
H: 0.7615 0.5184 0.8670  1 C 1.09
C: 0.3636 0.0323 0.6582  3 H 1.09-1.10
B: 0.1302 0.6607 0.1190  1 H 1.20
H: 0.9478 0.3632 0.0459  1 B 1.19
B: 0.6918 0.2540 0.3739  1 H 1.20
H: 0.8269 0.7415 0.1474  1 B 1.20
B: 0.2432 0.3055 0.9902  1 H 1.19
B: 0.8680 0.7032 0.6947  1 H 1.20
H: 0.5696 0.7815 0.6655  1 B 1.20
B: 0.0360 0.9222 0.1274  1 H 1.20
H: 0.5522 0.3615 0.5234  1 B 1.20
S: 0.6216 0.4763 0.7150  2 C 1.81, 1 B 1.94
H: 0.3342 0.4579 0.7328  1 C 1.10
B: 0.0383 0.2646 0.3801  1 H 1.20
C: 0.4138 0.4821 0.3119  3 H 1.09-1.10
H: 0.1228 0.7888 0.2834  1 B 1.20
C: 0.3636 0.9677 0.3418  3 H 1.09-1.10
Fe: 0.1510 0.0000 0.0000  4 C 2.05-2.06, 6 B 2.11-2.16
H: 0.3945 0.3832 0.2941  1 C 1.10
C: 0.4138 0.5179 0.6881  3 H 1.09-1.10
C: 0.8546 0.3169 0.5456  1 H 1.09
H: 0.1228 0.2112 0.7166  1 B 1.20
C: 0.0130 0.6436 0.5169  1 H 1.09
B: 0.7502 0.5861 0.6319  4 B 1.76-1.79, 1 S 1.94

Summary:
The energy of formation comes out at -150 meV per atom. The final energy is -5.37 eV per atom. The value obtained for the total magnetization is 0.00 μB/cell. For the volume, the calculation gives 9.698 Å³ per atom.

---

Record 2
The following is a PBE calculation of a relaxed structure of KNdInSbO6, from the Materials Project.

Lattice parameters (Å, degrees): 5.7932 5.7932 5.7932 60.00 60.00 60.00
With the nearest neighbours (Å) after each atom.
Positions (direct):
O: 0.2585 0.7415 0.7415  1 Sb 1.98, 1 In 2.12
O: 0.7415 0.2585 0.7415  1 Sb 1.98, 1 In 2.12
Sb: 0.5000 0.5000 0.5000  6 O 1.98
K: 0.7500 0.7500 0.7500  12 O 2.90
O: 0.2585 0.2585 0.7415  1 Sb 1.98, 1 In 2.12
Nd: 0.2500 0.2500 0.2500  12 O 2.90
In: 0.0000 0.0000 0.0000  6 O 2.12
O: 0.2585 0.7415 0.2585  1 Sb 1.98, 1 In 2.12
O: 0.7415 0.2585 0.2585  1 Sb 1.98, 1 In 2.12
O: 0.7415 0.7415 0.2585  1 Sb 1.98, 1 In 2.12

Summary:
The energy of formation comes out at -2294 meV per atom. The final energy is -6.13 eV per atom. The value obtained for the total magnetization is 0.00 μB/cell. For the volume, the calculation gives 13.748 Å³ per atom.

---

Record 3
The following is a PBE calculation of a relaxed structure of Ho3Sc2Al3O12, from the Materials Project.

Lattice parameters (Å, degrees): 10.7726 10.7726 10.7726 109.47 109.47 109.47
With the nearest neighbours (Å) after each atom.
Positions (direct):
Al: 0.8750 0.2500 0.1250  4 O 1.79
O: 0.6878 0.1005 0.9743  1 Al 1.79
O: 0.0257 0.2136 0.1262  1 Al 1.79
Ho: 0.3750 0.1250 0.2500  8 O 2.36-2.47
Sc: 0.0000 0.5000 0.5000  6 O 2.11
Al: 0.2500 0.6250 0.3750  4 O 1.79
O: 0.3995 0.8122 0.5257  1 Al 1.79
O: 0.9127 0.2864 0.3122  1 Al 1.79
Ho: 0.6250 0.2500 0.8750  8 O 2.36-2.47
Al: 0.2500 0.1250 0.8750  4 O 1.79
Al: 0.3750 0.2500 0.6250  4 O 1.79
O: 0.7136 0.5257 0.6262  1 Al 1.79
Al: 0.7500 0.8750 0.1250  4 O 1.79
O: 0.6005 0.9127 0.1262  1 Al 1.79
O: 0.1262 0.0257 0.2136  1 Al 1.79
Sc: 0.5000 0.0000 0.5000  6 O 2.11
O: 0.1005 0.6262 0.4127  1 Al 1.79
O: 0.1878 0.2136 0.5873  1 Al 1.79
Ho: 0.7500 0.6250 0.8750  8 O 2.36-2.47
O: 0.4743 0.3738 0.2864  1 Al 1.79
Ho: 0.6250 0.8750 0.7500  8 O 2.36-2.47
O: 0.9127 0.1262 0.6005  1 Al 1.79
Al: 0.7500 0.3750 0.6250  4 O 1.79
Sc: 0.5000 0.5000 0.5000  6 O 2.11
O: 0.3738 0.5873 0.8995  1 Al 1.79
O: 0.0257 0.3122 0.8995  1 Al 1.79
O: 0.2864 0.4743 0.3738  1 Al 1.79
O: 0.3995 0.0873 0.8738  1 Al 1.79
O: 0.0873 0.8738 0.3995  1 Al 1.79
O: 0.8122 0.5257 0.3995  1 Al 1.79
O: 0.8122 0.7864 0.4127  1 Al 1.79
Al: 0.1250 0.7500 0.8750  4 O 1.79
Ho: 0.1250 0.2500 0.3750  8 O 2.36-2.47
O: 0.6262 0.4127 0.1005  1 Al 1.79
O: 0.5257 0.3995 0.8122  1 Al 1.79
O: 0.2136 0.5873 0.1878  1 Al 1.79
O: 0.7136 0.6878 0.0873  1 Al 1.79
O: 0.5873 0.1878 0.2136  1 Al 1.79
O: 0.6878 0.0873 0.7136  1 Al 1.79
Ho: 0.1250 0.3750 0.7500  8 O 2.36-2.47
O: 0.4127 0.8122 0.7864  1 Al 1.79
Sc: 0.5000 0.5000 0.0000  6 O 2.11
O: 0.4127 0.1005 0.6262  1 Al 1.79
O: 0.2864 0.3122 0.9127  1 Al 1.79
O: 0.7864 0.8738 0.9743  1 Al 1.79
O: 0.5873 0.8995 0.3738  1 Al 1.79
Al: 0.1250 0.8750 0.2500  4 O 1.79
O: 0.1262 0.6005 0.9127  1 Al 1.79
Sc: 0.0000 0.0000 0.0000  6 O 2.11
Ho: 0.8750 0.6250 0.2500  8 O 2.36-2.47
Ho: 0.2500 0.8750 0.6250  8 O 2.36-2.47
O: 0.9743 0.7864 0.8738  1 Al 1.79
Sc: 0.0000 0.0000 0.5000  6 O 2.11
O: 0.3738 0.2864 0.4743  1 Al 1.79
O: 0.3122 0.9127 0.2864  1 Al 1.79
Sc: 0.5000 0.0000 0.0000  6 O 2.11
Sc: 0.0000 0.5000 0.0000  6 O 2.11
O: 0.8738 0.3995 0.0873  1 Al 1.79
O: 0.1005 0.9743 0.6878  1 Al 1.79
O: 0.3122 0.8995 0.0257  1 Al 1.79
Ho: 0.3750 0.7500 0.1250  8 O 2.36-2.47
O: 0.9743 0.6878 0.1005  1 Al 1.79
Ho: 0.8750 0.7500 0.6250  8 O 2.36-2.47
O: 0.1878 0.4743 0.6005  1 Al 1.79
O: 0.8995 0.0257 0.3122  1 Al 1.79
Al: 0.8750 0.1250 0.7500  4 O 1.79
O: 0.5257 0.6262 0.7136  1 Al 1.79
O: 0.0873 0.7136 0.6878  1 Al 1.79
Ho: 0.2500 0.3750 0.1250  8 O 2.36-2.47
O: 0.4743 0.6005 0.1878  1 Al 1.79
O: 0.8995 0.3738 0.5873  1 Al 1.79
O: 0.8738 0.9743 0.7864  1 Al 1.79
O: 0.7864 0.4127 0.8122  1 Al 1.79
Ho: 0.7500 0.1250 0.3750  8 O 2.36-2.47
Al: 0.6250 0.7500 0.3750  4 O 1.79
Al: 0.3750 0.6250 0.7500  4 O 1.79
O: 0.6262 0.7136 0.5257  1 Al 1.79
Al: 0.6250 0.3750 0.2500  4 O 1.79
O: 0.6005 0.1878 0.4743  1 Al 1.79
O: 0.2136 0.1262 0.0257  1 Al 1.79

Summary:
The energy of formation comes out at -3827 meV per atom. The final energy is -8.27 eV per atom. The value obtained for the total magnetization is 0.00 μB/cell. For the volume, the calculation gives 12.030 Å³ per atom.

---

Q: What is the formula in the second record?
A: KNdInSbO6

---

Q: Look up the energy of formation of the first one.
A: -150 meV per atom

---

Q: Among the records above, which one has the highest final energy?
A: FeB18H32C8S2

---

Q: Number 1 is which compound?
A: FeB18H32C8S2